## A
Li3SbO3 after structural relaxation. Source: Materials Project, functional PBE.

a b c (Å): 7.5463 7.5463 7.5463
angles (deg): 109.47 109.47 109.47
Sites, in units of the cell vectors:
Li 0.5343 0.2892 0.0000
Li 0.5343 0.0000 0.2892
Li 0.7549 0.4657 0.4657
Li 0.2892 0.0000 0.5343
Li 0.2892 0.5343 0.0000
Li 0.7108 0.2451 0.7108
Li 0.7108 0.7108 0.2451
Li 0.4657 0.7549 0.4657
Li 0.4657 0.4657 0.7549
Li 0.0000 0.5343 0.2892
Li 0.0000 0.2892 0.5343
Li 0.2451 0.7108 0.7108
Sb 0.7185 0.0000 0.0000
Sb 0.2815 0.2815 0.2815
Sb 0.0000 0.7185 0.0000
Sb 0.0000 0.0000 0.7185
O 0.7427 0.2378 0.2378
O 0.7622 0.5049 0.0000
O 0.7622 0.0000 0.5049
O 0.4951 0.4951 0.2573
O 0.5049 0.7622 0.0000
O 0.4951 0.2573 0.4951
O 0.5049 0.0000 0.7622
O 0.2573 0.4951 0.4951
O 0.2378 0.2378 0.7427
O 0.2378 0.7427 0.2378
O 0.0000 0.5049 0.7622
O 0.0000 0.7622 0.5049

Properties
- piezoelectric modulus e_max (C/m²) = 0.236

## B
Li3SbO3 after structural relaxation. Source: Materials Project, functional PBE.

a b c (Å): 7.1634 7.1634 7.1634
angles (deg): 90.00 90.00 90.00
Sites, in units of the cell vectors:
Li 0.9689 0.9689 0.9689
Li 0.2609 0.2391 0.7609
Li 0.2405 0.7405 0.7595
Li 0.2595 0.2595 0.2595
Li 0.2391 0.7609 0.2609
Li 0.5311 0.0311 0.4689
Li 0.4689 0.5311 0.0311
Li 0.7609 0.2609 0.2391
Li 0.7405 0.7595 0.2405
Li 0.7595 0.2405 0.7405
Li 0.7391 0.7391 0.7391
Li 0.0311 0.4689 0.5311
Sb 0.0231 0.9769 0.4769
Sb 0.4769 0.0231 0.9769
Sb 0.5231 0.5231 0.5231
Sb 0.9769 0.4769 0.0231
O 0.9944 0.2410 0.4013
O 0.0987 0.0056 0.7410
O 0.2410 0.4013 0.9944
O 0.2590 0.5987 0.4944
O 0.4013 0.9944 0.2410
O 0.5056 0.7590 0.9013
O 0.4944 0.2590 0.5987
O 0.5987 0.4944 0.2590
O 0.7410 0.0987 0.0056
O 0.7590 0.9013 0.5056
O 0.9013 0.5056 0.7590
O 0.0056 0.7410 0.0987

Properties
- magnetic moment (μB/cell) = 0.00

The least stable of them is B.

## A
SmU2Se5 after structural relaxation. Source: Materials Project, functional PBE.

a b c (Å): 7.7746 8.3027 12.3191
angles (deg): 90.00 90.00 90.00
Sites, in units of the cell vectors:
Sm 0.0254 0.5024 0.8204
Sm 0.9746 0.0024 0.1796
Sm 0.5254 0.0024 0.6796
Sm 0.4746 0.5024 0.3204
U 0.5763 0.2485 0.9928
U 0.9237 0.2485 0.4928
U 0.4237 0.7485 0.0072
U 0.0763 0.7485 0.5072
U 0.4765 0.0002 0.3205
U 0.5235 0.5002 0.6795
U 0.9765 0.5002 0.1795
U 0.0235 0.0002 0.8205
Se 0.3357 0.0435 0.0989
Se 0.1705 0.4531 0.5962
Se 0.6643 0.5435 0.9011
Se 0.8295 0.9531 0.4038
Se 0.6705 0.9531 0.9038
Se 0.8357 0.5435 0.4011
Se 0.3295 0.4531 0.0962
Se 0.1643 0.0435 0.5989
Se 0.9610 0.2514 0.9999
Se 0.5390 0.2514 0.4999
Se 0.0390 0.7514 0.0001
Se 0.4610 0.7514 0.5001
Se 0.3304 0.2502 0.8138
Se 0.1696 0.2502 0.3138
Se 0.6696 0.7502 0.1862
Se 0.8304 0.7502 0.6862
Se 0.6965 0.2507 0.2173
Se 0.8035 0.2507 0.7173
Se 0.3035 0.7507 0.7827
Se 0.1965 0.7507 0.2827

## B
SmU2Se5 after structural relaxation. Source: Materials Project, functional PBE.

a b c (Å): 7.8065 8.2533 12.4425
angles (deg): 90.00 90.00 90.00
Sites, in units of the cell vectors:
Sm 0.9187 0.7500 0.9944
Sm 0.0813 0.2500 0.0056
Sm 0.4187 0.2500 0.5056
Sm 0.5813 0.7500 0.4944
U 0.9861 0.0002 0.6813
U 0.0139 0.9998 0.3187
U 0.4861 0.9998 0.8187
U 0.0139 0.5002 0.3187
U 0.5139 0.0002 0.1813
U 0.9861 0.4998 0.6813
U 0.5139 0.4998 0.1813
U 0.4861 0.5002 0.8187
Se 0.7041 0.7500 0.7167
Se 0.2959 0.2500 0.2833
Se 0.2041 0.2500 0.7833
Se 0.7959 0.7500 0.2167
Se 0.1756 0.7500 0.8154
Se 0.8244 0.2500 0.1846
Se 0.6756 0.2500 0.6846
Se 0.3244 0.7500 0.3154
Se 0.5297 0.7500 0.0003
Se 0.4703 0.2500 0.9997
Se 0.0297 0.2500 0.4997
Se 0.9703 0.7500 0.5003
Se 0.8348 0.4556 0.8930
Se 0.1652 0.5444 0.1070
Se 0.3348 0.5444 0.6070
Se 0.1652 0.9556 0.1070
Se 0.6652 0.4556 0.3930
Se 0.8348 0.0444 0.8930
Se 0.6652 0.0444 0.3930
Se 0.3348 0.9556 0.6070

Properties
- magnetic moment (μB/cell) = 20.00

The least stable of them is B.

## A
Cu2H3ClO3 after structural relaxation. Source: Materials Project, functional PBE.

a b c (Å): 6.1284 6.1284 6.1610
angles (deg): 68.85 68.85 68.65
Sites, in units of the cell vectors:
Cu 0.0000 0.0000 0.5000
Cu 0.0000 0.0000 0.0000
Cu 0.5000 0.0000 0.5000
Cu 0.0000 0.5000 0.5000
H 0.2763 0.6737 0.7740
H 0.6737 0.2763 0.7740
H 0.7237 0.3263 0.2260
H 0.3263 0.7237 0.2260
H 0.7362 0.7362 0.8252
H 0.2638 0.2638 0.1748
Cl 0.3138 0.3138 0.8126
Cl 0.6862 0.6862 0.1874
O 0.2355 0.8538 0.7338
O 0.8538 0.2355 0.7338
O 0.7645 0.1462 0.2662
O 0.1462 0.7645 0.2662
O 0.7789 0.7789 0.6455
O 0.2211 0.2211 0.3545

Properties
- magnetic moment (μB/cell) = 0.51

## B
Cu2H3ClO3 after structural relaxation. Source: Materials Project, functional PBE.

a b c (Å): 9.2004 9.2142 9.2997
angles (deg): 96.35 97.11 96.76
Sites, in units of the cell vectors:
Cu 0.5000 0.5000 0.5000
Cu 0.5000 0.0000 0.0000
Cu 0.0000 0.0000 0.5000
Cu 0.0000 0.5000 0.0000
Cu 0.2501 0.7608 0.0014
Cu 0.7499 0.2392 0.9986
Cu 0.7526 0.9994 0.2623
Cu 0.2474 0.0006 0.7377
Cu 0.0018 0.2525 0.7494
Cu 0.9982 0.7475 0.2506
Cu 0.4930 0.7483 0.7460
Cu 0.5070 0.2517 0.2540
Cu 0.7538 0.7377 0.5057
Cu 0.2462 0.2623 0.4943
Cu 0.7481 0.4974 0.7578
Cu 0.2519 0.5026 0.2422
H 0.4743 0.7660 0.4733
H 0.5257 0.2340 0.5267
H 0.4769 0.4783 0.7892
H 0.5231 0.5217 0.2108
H 0.7689 0.4606 0.4819
H 0.2311 0.5394 0.5181
H 0.5261 0.7304 0.0193
H 0.4739 0.2696 0.9807
H 0.5160 0.0178 0.7002
H 0.4840 0.9822 0.2998
H 0.7712 0.9633 0.9876
H 0.2288 0.0367 0.0124
H 0.9819 0.7986 0.9871
H 0.0181 0.2014 0.0129
H 0.0299 0.5270 0.7380
H 0.9701 0.4730 0.2620
H 0.7304 0.5213 0.0293
H 0.2696 0.4787 0.9707
H 0.7342 0.0181 0.5347
H 0.2658 0.9819 0.4653
H 0.9670 0.9750 0.7607
H 0.0330 0.0250 0.2393
H 0.0215 0.6971 0.5135
H 0.9785 0.3029 0.4865
Cl 0.8170 0.8186 0.8156
Cl 0.1830 0.1814 0.1844
Cl 0.1842 0.6831 0.6847
Cl 0.8158 0.3169 0.3153
Cl 0.6827 0.6878 0.1761
Cl 0.3173 0.3122 0.8239
Cl 0.6817 0.1856 0.6762
Cl 0.3183 0.8144 0.3238
O 0.4492 0.9522 0.7482
O 0.5508 0.0478 0.2518
O 0.9460 0.7315 0.4441
O 0.0540 0.2685 0.5559
O 0.7771 0.4526 0.9644
O 0.2229 0.5474 0.0356
O 0.0541 0.7618 0.0573
O 0.9459 0.2382 0.9427
O 0.7251 0.0339 0.0515
O 0.2749 0.9661 0.9485
O 0.0379 0.0428 0.7174
O 0.9621 0.9572 0.2826
O 0.4569 0.7784 0.9545
O 0.5431 0.2216 0.0455
O 0.7785 0.9490 0.4679
O 0.2215 0.0510 0.5321
O 0.9597 0.4595 0.7817
O 0.0403 0.5405 0.2183
O 0.5474 0.5490 0.7509
O 0.4526 0.4510 0.2491
O 0.5430 0.7211 0.5426
O 0.4570 0.2789 0.4574
O 0.7233 0.5289 0.5480
O 0.2767 0.4711 0.4520

Properties
- magnetic moment (μB/cell) = 3.89

The least stable of them is A.